[1]
The following is a DFT calculation (GGA-PBE) of crystalline ThUSb4 at its relaxed geometry.

Structure (CIF):
```
data_ThUSb4
_cell_length_a 4.365
_cell_length_b 4.365
_cell_length_c 8.941
_cell_angle_alpha 90.00
_cell_angle_beta 90.00
_cell_angle_gamma 90.00
_symmetry_space_group_name_H-M 'P 1'
_symmetry_Int_Tables_number 1
loop_
_symmetry_equiv_pos_as_xyz
'x,y,z'
loop_
_atom_site_label
_atom_site_type_symbol
_atom_site_fract_x
_atom_site_fract_y
_atom_site_fract_z
Th1 Th 0.000 0.000 0.000
U1 U 0.500 0.500 0.556
Sb1 Sb 0.000 0.000 0.628
Sb2 Sb 0.000 0.500 0.286
Sb3 Sb 0.500 0.000 0.286
Sb4 Sb 0.500 0.500 0.904
```

Properties
ΔH_f (0 K)   -0.6405 eV/atom
SG   P4mm
Final energy   -38.30 eV for the cell shown
Calculated volume   170 Å³ per cell
E (MP2020)   -6.511 eV/atom


[2]
The following is a DFT calculation (GGA-PBE) of crystalline CsNaB10H31N7 at its relaxed geometry.

Structure (CIF):
```
data_CsNaB10H31N7
_cell_length_a 8.761
_cell_length_b 14.154
_cell_length_c 17.909
_cell_angle_alpha 89.07
_cell_angle_beta 89.27
_cell_angle_gamma 81.70
_symmetry_space_group_name_H-M 'P 1'
_symmetry_Int_Tables_number 1
loop_
_symmetry_equiv_pos_as_xyz
'x,y,z'
loop_
_atom_site_label
_atom_site_type_symbol
_atom_site_fract_x
_atom_site_fract_y
_atom_site_fract_z
Cs1 Cs 0.221 0.005 0.120
Cs2 Cs 0.264 0.004 0.611
Cs3 Cs 0.736 0.996 0.389
Cs4 Cs 0.779 0.995 0.880
Na1 Na 0.138 0.347 0.346
Na2 Na 0.224 0.337 0.861
Na3 Na 0.776 0.663 0.139
Na4 Na 0.862 0.653 0.654
B1 B 0.123 0.801 0.373
B2 B 0.136 0.812 0.890
B3 B 0.163 0.924 0.363
B4 B 0.180 0.847 0.290
B5 B 0.181 0.864 0.453
B6 B 0.184 0.931 0.907
B7 B 0.194 0.885 0.813
B8 B 0.199 0.844 0.974
B9 B 0.283 0.746 0.429
B10 B 0.291 0.763 0.828
B11 B 0.308 0.758 0.329
B12 B 0.321 0.759 0.928
B13 B 0.340 0.920 0.414
B14 B 0.349 0.881 0.318
B15 B 0.359 0.931 0.853
B16 B 0.367 0.827 0.477
B17 B 0.369 0.878 0.945
B18 B 0.378 0.849 0.784
B19 B 0.443 0.803 0.390
B20 B 0.456 0.810 0.867
B21 B 0.544 0.190 0.133
B22 B 0.557 0.197 0.610
B23 B 0.622 0.151 0.216
B24 B 0.631 0.122 0.055
B25 B 0.633 0.173 0.523
B26 B 0.641 0.069 0.147
B27 B 0.651 0.119 0.682
B28 B 0.660 0.080 0.586
B29 B 0.679 0.241 0.072
B30 B 0.692 0.242 0.671
B31 B 0.709 0.237 0.172
B32 B 0.717 0.254 0.571
B33 B 0.801 0.156 0.026
B34 B 0.806 0.115 0.187
B35 B 0.816 0.069 0.093
B36 B 0.819 0.136 0.547
B37 B 0.820 0.153 0.710
B38 B 0.837 0.076 0.637
B39 B 0.864 0.188 0.110
B40 B 0.877 0.199 0.627
H1 H 0.000 0.353 0.191
H2 H 0.000 0.647 0.809
H3 H 0.001 0.533 0.793
H4 H 0.003 0.769 0.377
H5 H 0.013 0.783 0.885
H6 H 0.042 0.564 0.341
H7 H 0.054 0.474 0.588
H8 H 0.080 0.999 0.358
H9 H 0.084 0.889 0.500
H10 H 0.089 0.697 0.106
H11 H 0.095 0.500 0.956
H12 H 0.097 0.919 0.769
H13 H 0.106 0.007 0.918
H14 H 0.107 0.664 0.194
H15 H 0.112 0.229 0.001
H16 H 0.113 0.172 0.258
H17 H 0.120 0.205 0.741
H18 H 0.120 0.264 0.514
H19 H 0.120 0.853 0.231
H20 H 0.121 0.553 0.423
H21 H 0.137 0.739 0.588
H22 H 0.140 0.584 0.128
H23 H 0.141 0.841 0.034
H24 H 0.156 0.403 0.176
H25 H 0.170 0.724 0.678
H26 H 0.187 0.191 0.448
H27 H 0.203 0.633 0.622
H28 H 0.222 0.154 0.948
H29 H 0.236 0.136 0.797
H30 H 0.240 0.126 0.321
H31 H 0.240 0.443 0.698
H32 H 0.247 0.543 0.925
H33 H 0.261 0.470 0.997
H34 H 0.279 0.417 0.508
H35 H 0.279 0.668 0.455
H36 H 0.281 0.689 0.797
H37 H 0.292 0.511 0.763
H38 H 0.296 0.188 0.250
H39 H 0.301 0.222 0.005
H40 H 0.306 0.245 0.495
H41 H 0.310 0.202 0.734
H42 H 0.352 0.686 0.294
H43 H 0.356 0.513 0.526
H44 H 0.362 0.683 0.958
H45 H 0.384 0.995 0.428
H46 H 0.386 0.471 0.180
H47 H 0.401 0.411 0.742
H48 H 0.408 0.006 0.843
H49 H 0.409 0.223 0.129
H50 H 0.420 0.411 0.568
H51 H 0.421 0.706 0.091
H52 H 0.422 0.226 0.618
H53 H 0.426 0.725 0.181
H54 H 0.427 0.821 0.536
H55 H 0.428 0.918 0.274
H56 H 0.434 0.439 0.335
H57 H 0.435 0.850 0.723
H58 H 0.444 0.522 0.105
H59 H 0.453 0.907 0.990
H60 H 0.455 0.405 0.110
H61 H 0.464 0.343 0.388
H62 H 0.472 0.333 0.297
H63 H 0.498 0.795 0.121
H64 H 0.502 0.205 0.879
H65 H 0.528 0.667 0.703
H66 H 0.536 0.657 0.612
H67 H 0.545 0.595 0.890
H68 H 0.547 0.093 0.010
H69 H 0.556 0.478 0.895
H70 H 0.565 0.150 0.277
H71 H 0.566 0.561 0.665
H72 H 0.572 0.082 0.726
H73 H 0.573 0.179 0.464
H74 H 0.574 0.275 0.819
H75 H 0.578 0.774 0.382
H76 H 0.579 0.294 0.909
H77 H 0.580 0.589 0.432
H78 H 0.591 0.777 0.871
H79 H 0.592 0.994 0.157
H80 H 0.599 0.589 0.258
H81 H 0.614 0.529 0.820
H82 H 0.616 0.005 0.572
H83 H 0.638 0.317 0.042
H84 H 0.644 0.487 0.474
H85 H 0.648 0.314 0.706
H86 H 0.690 0.798 0.266
H87 H 0.694 0.755 0.505
H88 H 0.699 0.778 0.995
H89 H 0.704 0.812 0.750
H90 H 0.708 0.489 0.237
H91 H 0.719 0.311 0.203
H92 H 0.721 0.332 0.545
H93 H 0.721 0.583 0.492
H94 H 0.739 0.530 0.003
H95 H 0.753 0.457 0.075
H96 H 0.760 0.557 0.302
H97 H 0.760 0.874 0.679
H98 H 0.764 0.864 0.203
H99 H 0.778 0.846 0.052
H100 H 0.797 0.367 0.378
H101 H 0.813 0.809 0.552
H102 H 0.830 0.276 0.322
H103 H 0.844 0.597 0.824
H104 H 0.859 0.159 0.966
H105 H 0.860 0.416 0.872
H106 H 0.863 0.261 0.412
H107 H 0.879 0.447 0.577
H108 H 0.880 0.147 0.769
H109 H 0.880 0.736 0.486
H110 H 0.880 0.795 0.259
H111 H 0.887 0.828 0.742
H112 H 0.888 0.771 0.999
H113 H 0.893 0.336 0.806
H114 H 0.894 0.993 0.082
H115 H 0.903 0.081 0.231
H116 H 0.905 0.500 0.044
H117 H 0.911 0.303 0.894
H118 H 0.916 0.111 0.500
H119 H 0.920 0.001 0.642
H120 H 0.946 0.526 0.412
H121 H 0.958 0.436 0.659
H122 H 0.987 0.217 0.115
H123 H 0.997 0.231 0.623
H124 H 0.999 0.467 0.207
N1 N 0.054 0.521 0.388
N2 N 0.064 0.402 0.212
N3 N 0.069 0.644 0.143
N4 N 0.128 0.694 0.633
N5 N 0.199 0.254 0.472
N6 N 0.208 0.184 0.287
N7 N 0.211 0.221 0.970
N8 N 0.211 0.482 0.946
N9 N 0.220 0.201 0.771
N10 N 0.289 0.442 0.750
N11 N 0.322 0.453 0.550
N12 N 0.386 0.468 0.123
N13 N 0.413 0.370 0.339
N14 N 0.488 0.725 0.133
N15 N 0.512 0.275 0.867
N16 N 0.587 0.630 0.661
N17 N 0.614 0.532 0.877
N18 N 0.678 0.547 0.450
N19 N 0.711 0.558 0.250
N20 N 0.780 0.799 0.229
N21 N 0.789 0.518 0.054
N22 N 0.789 0.779 0.030
N23 N 0.792 0.816 0.713
N24 N 0.801 0.746 0.528
N25 N 0.872 0.306 0.367
N26 N 0.931 0.356 0.857
N27 N 0.936 0.598 0.788
N28 N 0.946 0.479 0.612
```

Properties
ΔH_f (0 K)   -0.3663 eV/atom
SG   P-1
M_tot   0.0 μB/f.u.
Final energy   -993.32 eV for the cell shown
Calculated volume   2197 Å³ per cell
E (MP2020)   -5.017 eV/atom


[3]
The following is a DFT calculation (GGA-PBE) of crystalline Sm2AlZn at its relaxed geometry.

Structure (CIF):
```
data_Sm2AlZn
_cell_length_a 5.199
_cell_length_b 5.199
_cell_length_c 5.199
_cell_angle_alpha 60.00
_cell_angle_beta 60.00
_cell_angle_gamma 60.00
_symmetry_space_group_name_H-M 'P 1'
_symmetry_Int_Tables_number 1
loop_
_symmetry_equiv_pos_as_xyz
'x,y,z'
loop_
_atom_site_label
_atom_site_type_symbol
_atom_site_fract_x
_atom_site_fract_y
_atom_site_fract_z
Sm1 Sm 0.250 0.250 0.250
Sm2 Sm 0.750 0.750 0.750
Al1 Al 0.000 0.000 0.000
Zn1 Zn 0.500 0.500 0.500
```

Properties
ΔH_f (0 K)   -0.3525 eV/atom
SG   Fm-3m
Final energy   -15.85 eV for the cell shown
Calculated volume   99 Å³ per cell


[4]
The following is a DFT calculation (GGA-PBE) of crystalline Dy3AlCoS7 at its relaxed geometry.

Structure (CIF):
```
data_Dy3AlCoS7
_cell_length_a 9.553
_cell_length_b 9.553
_cell_length_c 6.157
_cell_angle_alpha 90.00
_cell_angle_beta 90.00
_cell_angle_gamma 120.00
_symmetry_space_group_name_H-M 'P 1'
_symmetry_Int_Tables_number 1
loop_
_symmetry_equiv_pos_as_xyz
'x,y,z'
loop_
_atom_site_label
_atom_site_type_symbol
_atom_site_fract_x
_atom_site_fract_y
_atom_site_fract_z
Dy1 Dy 0.148 0.775 0.000
Dy2 Dy 0.225 0.374 0.000
Dy3 Dy 0.374 0.148 0.500
Dy4 Dy 0.626 0.852 0.000
Dy5 Dy 0.775 0.626 0.500
Dy6 Dy 0.852 0.225 0.500
Al1 Al 0.333 0.667 0.574
Al2 Al 0.667 0.333 0.074
Co1 Co 0.000 0.000 0.153
Co2 Co 0.000 0.000 0.653
S1 S 0.090 0.516 0.730
S2 S 0.093 0.870 0.401
S3 S 0.130 0.223 0.401
S4 S 0.223 0.093 0.901
S5 S 0.333 0.667 0.211
S6 S 0.426 0.910 0.730
S7 S 0.484 0.574 0.730
S8 S 0.516 0.426 0.230
S9 S 0.574 0.090 0.230
S10 S 0.667 0.333 0.711
S11 S 0.777 0.907 0.401
S12 S 0.870 0.777 0.901
S13 S 0.907 0.130 0.901
S14 S 0.910 0.484 0.230
```

Properties
ΔH_f (0 K)   -1.8436 eV/atom
SG   P6_3
M_tot   1.0 μB/f.u.
Final energy   -144.46 eV for the cell shown
Calculated volume   487 Å³ per cell
E (MP2020)   -6.313 eV/atom


[5]
The following is a DFT calculation (GGA-PBE) of crystalline Na3Zr3ZnP5SO24 at its relaxed geometry.

Structure (CIF):
```
data_Na3Zr3ZnP5SO24
_cell_length_a 8.921
_cell_length_b 8.923
_cell_length_c 23.282
_cell_angle_alpha 90.11
_cell_angle_beta 90.00
_cell_angle_gamma 119.96
_symmetry_space_group_name_H-M 'P 1'
_symmetry_Int_Tables_number 1
loop_
_symmetry_equiv_pos_as_xyz
'x,y,z'
loop_
_atom_site_label
_atom_site_type_symbol
_atom_site_fract_x
_atom_site_fract_y
_atom_site_fract_z
Na1 Na 0.000 0.000 0.000
Na2 Na 0.001 0.637 0.747
Na3 Na 0.005 0.002 0.496
Na4 Na 0.323 0.666 0.328
Na5 Na 0.335 0.668 0.830
Na6 Na 0.650 0.331 0.667
Na7 Na 0.658 0.339 0.169
Na8 Na 0.666 0.969 0.413
Na9 Na 0.681 0.027 0.087
Zr1 Zr 0.311 0.656 0.482
Zr2 Zr 0.321 0.665 0.982
Zr3 Zr 0.652 0.329 0.815
Zr4 Zr 0.656 0.342 0.520
Zr5 Zr 0.658 0.329 0.315
Zr6 Zr 0.658 0.341 0.020
Zr7 Zr 0.989 0.001 0.853
Zr8 Zr 0.992 0.002 0.150
Zr9 Zr 0.998 0.003 0.649
Zn1 Zn 0.324 0.654 0.686
Zn2 Zn 0.334 0.676 0.183
Zn3 Zn 0.990 0.999 0.353
P1 P 0.034 0.666 0.588
P2 P 0.037 0.381 0.087
P3 P 0.284 0.997 0.751
P4 P 0.324 0.956 0.086
P5 P 0.325 0.379 0.587
P6 P 0.361 0.042 0.418
P7 P 0.365 0.333 0.918
P8 P 0.612 0.666 0.087
P9 P 0.657 0.041 0.919
P10 P 0.661 0.630 0.417
P11 P 0.694 0.992 0.253
P12 P 0.695 0.710 0.751
P13 P 0.947 0.330 0.418
P14 P 0.950 0.626 0.917
P15 P 0.994 0.295 0.751
S1 S 0.281 0.296 0.253
S2 S 0.614 0.958 0.585
S3 S 0.996 0.710 0.253
O1 O 0.008 0.191 0.092
O2 O 0.012 0.829 0.591
O3 O 0.013 0.203 0.805
O4 O 0.017 0.814 0.304
O5 O 0.110 0.640 0.643
O6 O 0.115 0.487 0.140
O7 O 0.127 0.495 0.424
O8 O 0.129 0.643 0.924
O9 O 0.145 0.460 0.032
O10 O 0.145 0.687 0.245
O11 O 0.147 0.692 0.533
O12 O 0.149 0.477 0.748
O13 O 0.160 0.196 0.591
O14 O 0.163 0.979 0.092
O15 O 0.168 0.973 0.804
O16 O 0.179 0.211 0.304
O17 O 0.184 0.022 0.411
O18 O 0.185 0.171 0.912
O19 O 0.198 0.028 0.698
O20 O 0.201 0.184 0.200
O21 O 0.295 0.833 0.745
O22 O 0.297 0.846 0.031
O23 O 0.301 0.464 0.532
O24 O 0.301 0.466 0.245
O25 O 0.348 0.496 0.925
O26 O 0.357 0.488 0.640
O27 O 0.359 0.867 0.426
O28 O 0.364 0.883 0.138
O29 O 0.453 0.309 0.972
O30 O 0.455 0.155 0.471
O31 O 0.457 0.309 0.257
O32 O 0.463 0.162 0.757
O33 O 0.478 0.359 0.865
O34 O 0.483 0.128 0.365
O35 O 0.483 0.352 0.578
O36 O 0.489 0.138 0.076
O37 O 0.495 0.861 0.925
O38 O 0.498 0.651 0.425
O39 O 0.506 0.636 0.140
O40 O 0.510 0.880 0.636
O41 O 0.513 0.836 0.245
O42 O 0.518 0.692 0.746
O43 O 0.533 0.700 0.032
O44 O 0.537 0.856 0.531
O45 O 0.631 0.512 0.364
O46 O 0.633 0.131 0.866
O47 O 0.637 0.135 0.578
O48 O 0.640 0.510 0.077
O49 O 0.681 0.539 0.471
O50 O 0.682 0.149 0.974
O51 O 0.683 0.165 0.257
O52 O 0.691 0.533 0.758
O53 O 0.781 0.976 0.308
O54 O 0.789 0.821 0.805
O55 O 0.790 0.976 0.590
O56 O 0.795 0.834 0.092
O57 O 0.810 0.023 0.198
O58 O 0.817 0.796 0.698
O59 O 0.818 0.812 0.413
O60 O 0.820 0.024 0.912
O61 O 0.829 0.314 0.758
O62 O 0.832 0.536 0.257
O63 O 0.833 0.306 0.471
O64 O 0.837 0.537 0.970
O65 O 0.848 0.346 0.078
O66 O 0.852 0.505 0.577
O67 O 0.862 0.360 0.364
O68 O 0.866 0.518 0.862
O69 O 0.961 0.167 0.412
O70 O 0.965 0.180 0.698
O71 O 0.968 0.807 0.912
O72 O 0.969 0.793 0.200
```

Properties
ΔH_f (0 K)   -2.8704 eV/atom
SG   P1
M_tot   0.0 μB/f.u.
Final energy   -811.62 eV for the cell shown
Calculated volume   1606 Å³ per cell
E (MP2020)   -7.758 eV/atom


[6]
The following is a DFT calculation (GGA-PBE) of crystalline DyYRh2 at its relaxed geometry.

Structure (CIF):
```
data_DyYRh2
_cell_length_a 4.862
_cell_length_b 4.862
_cell_length_c 4.862
_cell_angle_alpha 60.00
_cell_angle_beta 60.00
_cell_angle_gamma 60.00
_symmetry_space_group_name_H-M 'P 1'
_symmetry_Int_Tables_number 1
loop_
_symmetry_equiv_pos_as_xyz
'x,y,z'
loop_
_atom_site_label
_atom_site_type_symbol
_atom_site_fract_x
_atom_site_fract_y
_atom_site_fract_z
Dy1 Dy 0.000 0.000 0.000
Y1 Y 0.500 0.500 0.500
Rh1 Rh 0.250 0.250 0.250
Rh2 Rh 0.750 0.750 0.750
```

Properties
ΔH_f (0 K)   -0.8597 eV/atom
SG   Fm-3m
Final energy   -29.24 eV for the cell shown
Calculated volume   81 Å³ per cell


[7]
The following is a DFT calculation (GGA-PBE) of crystalline LuSe at its relaxed geometry.

Structure (CIF):
```
data_LuSe
_cell_length_a 3.986
_cell_length_b 3.986
_cell_length_c 3.986
_cell_angle_alpha 60.00
_cell_angle_beta 60.00
_cell_angle_gamma 60.00
_symmetry_space_group_name_H-M 'P 1'
_symmetry_Int_Tables_number 1
loop_
_symmetry_equiv_pos_as_xyz
'x,y,z'
loop_
_atom_site_label
_atom_site_type_symbol
_atom_site_fract_x
_atom_site_fract_y
_atom_site_fract_z
Lu1 Lu 0.000 0.000 0.000
Se1 Se 0.500 0.500 0.500
```

Properties
ΔH_f (0 K)   -1.8211 eV/atom
SG   Fm-3m
Final energy   -11.19 eV for the cell shown
Calculated volume   45 Å³ per cell
E (MP2020)   -5.830 eV/atom


[8]
The following is a DFT calculation (GGA-PBE) of crystalline Li2Cu4S3 at its relaxed geometry.

Structure (CIF):
```
data_Li2Cu4S3
_cell_length_a 10.391
_cell_length_b 3.872
_cell_length_c 14.367
_cell_angle_alpha 90.00
_cell_angle_beta 90.00
_cell_angle_gamma 90.00
_symmetry_space_group_name_H-M 'P 1'
_symmetry_Int_Tables_number 1
loop_
_symmetry_equiv_pos_as_xyz
'x,y,z'
loop_
_atom_site_label
_atom_site_type_symbol
_atom_site_fract_x
_atom_site_fract_y
_atom_site_fract_z
Li1 Li 0.045 0.250 0.248
Li2 Li 0.134 0.250 0.635
Li3 Li 0.366 0.750 0.135
Li4 Li 0.455 0.750 0.748
Li5 Li 0.545 0.250 0.252
Li6 Li 0.634 0.250 0.865
Li7 Li 0.866 0.750 0.365
Li8 Li 0.955 0.750 0.752
Cu1 Cu 0.094 0.750 0.517
Cu2 Cu 0.108 0.750 0.130
Cu3 Cu 0.200 0.750 0.761
Cu4 Cu 0.217 0.750 0.369
Cu5 Cu 0.283 0.250 0.869
Cu6 Cu 0.300 0.250 0.261
Cu7 Cu 0.392 0.250 0.630
Cu8 Cu 0.406 0.250 0.017
Cu9 Cu 0.594 0.750 0.983
Cu10 Cu 0.608 0.750 0.370
Cu11 Cu 0.700 0.750 0.739
Cu12 Cu 0.717 0.750 0.131
Cu13 Cu 0.783 0.250 0.631
Cu14 Cu 0.800 0.250 0.239
Cu15 Cu 0.892 0.250 0.870
Cu16 Cu 0.906 0.250 0.483
S1 S 0.086 0.250 0.802
S2 S 0.105 0.250 0.410
S3 S 0.216 0.250 0.112
S4 S 0.284 0.750 0.612
S5 S 0.395 0.750 0.910
S6 S 0.414 0.750 0.302
S7 S 0.586 0.250 0.698
S8 S 0.605 0.250 0.090
S9 S 0.716 0.250 0.388
S10 S 0.784 0.750 0.888
S11 S 0.895 0.750 0.590
S12 S 0.914 0.750 0.198
```

Properties
ΔH_f (0 K)   -0.6312 eV/atom
SG   Pnma
M_tot   0.0 μB/f.u.
Final energy   -147.18 eV for the cell shown
Calculated volume   578 Å³ per cell
E (MP2020)   -4.256 eV/atom
Polymorph energy (0 for the lowest one)   41 meV per atom


Which of these has the lowest ΔH_f (0 K)? Na3Zr3ZnP5SO24